Record 1
Li2VC2O6 | PBE+U | optimized geometry

abc: 5.230 7.547 15.328
angles: 90.00 90.00 107.72
Positions (direct):
1 O 0.499 0.257 0.180
2 O 0.000 0.757 0.070
3 O 0.000 0.758 0.571
4 O 0.594 0.905 0.946
5 O 0.923 0.832 0.877
6 O 0.577 0.668 0.627
7 O 0.423 0.332 0.373
8 O 0.578 0.668 0.127
9 O 0.406 0.095 0.054
10 O 0.923 0.832 0.377
11 O 0.000 0.242 0.429
12 O 0.000 0.243 0.930
13 O 0.095 0.405 0.304
14 O 0.594 0.905 0.446
15 O 0.422 0.332 0.873
16 O 0.078 0.168 0.123
17 O 0.094 0.405 0.804
18 O 0.905 0.595 0.696
19 O 0.077 0.168 0.623
20 O 0.500 0.743 0.321
21 O 0.406 0.095 0.554
22 O 0.906 0.595 0.196
23 O 0.500 0.258 0.679
24 O 0.500 0.742 0.821
25 C 0.671 0.823 0.879
26 C 0.829 0.677 0.129
27 C 0.829 0.677 0.629
28 C 0.171 0.323 0.871
29 C 0.329 0.177 0.121
30 C 0.329 0.177 0.621
31 C 0.671 0.823 0.379
32 C 0.171 0.323 0.371
33 Li 0.394 0.812 0.057
34 Li 0.105 0.688 0.808
35 Li 0.894 0.312 0.692
36 Li 0.606 0.188 0.442
37 Li 0.605 0.188 0.943
38 Li 0.394 0.812 0.558
39 Li 0.894 0.311 0.193
40 Li 0.106 0.688 0.308
41 V 0.500 0.500 0.250
42 V 0.500 0.500 0.750
43 V 0.000 0.000 0.500
44 V 0.000 0.000 0.000

space-group type: Pc (7)
crystal system: monoclinic
magnetic moment: 0.000 μB/f.u.
energy relative to the lowest polymorph listed for this composition: 11 meV/atom
E_form: -23.318 eV/f.u.



Record 2
Ni5O4 | PBE+U | optimized geometry

abc: 5.095 5.095 5.095
angles: 99.36 99.36 132.44
Positions (direct):
1 O 0.898 0.302 0.200
2 O 0.102 0.698 0.800
3 O 0.698 0.898 0.596
4 O 0.302 0.102 0.404
5 Ni 0.209 0.405 0.613
6 Ni 0.595 0.209 0.804
7 Ni 0.791 0.595 0.387
8 Ni 0.000 0.000 0.000
9 Ni 0.405 0.791 0.196

space-group type: I4/m (87)
crystal system: tetragonal
magnetic moment: 8.004 μB/f.u.
energy relative to the lowest polymorph listed for this composition: 0 meV/atom
E_form: -6.588 eV/f.u.



Record 3
ZnMo2O12 | PBE+U | optimized geometry

abc: 6.236 8.370 19.312
angles: 90.00 90.00 93.85
Positions (direct):
1 Mo 0.923 0.866 0.424
2 Mo 0.077 0.634 0.924
3 Mo 0.388 0.565 0.076
4 Mo 0.077 0.134 0.576
5 Mo 0.612 0.935 0.576
6 Mo 0.388 0.065 0.424
7 Mo 0.612 0.435 0.924
8 Mo 0.923 0.366 0.076
9 O 0.556 0.427 0.287
10 O 0.218 0.837 0.436
11 O 0.091 0.072 0.661
12 O 0.634 0.949 0.664
13 O 0.782 0.163 0.564
14 O 0.026 0.233 0.803
15 O 0.026 0.733 0.697
16 O 0.009 0.178 0.862
17 O 0.218 0.337 0.064
18 O 0.508 0.268 0.431
19 O 0.634 0.449 0.836
20 O 0.169 0.343 0.580
21 O 0.556 0.927 0.213
22 O 0.444 0.073 0.787
23 O 0.485 0.688 0.751
24 O 0.991 0.822 0.138
25 O 0.515 0.812 0.251
26 O 0.974 0.267 0.303
27 O 0.365 0.046 0.549
28 O 0.782 0.663 0.936
29 O 0.909 0.928 0.339
30 O 0.366 0.051 0.336
31 O 0.974 0.767 0.197
32 O 0.009 0.678 0.638
33 O 0.831 0.657 0.420
34 O 0.345 0.062 0.044
35 O 0.635 0.454 0.049
36 O 0.655 0.938 0.956
37 O 0.635 0.954 0.451
38 O 0.492 0.732 0.569
39 O 0.831 0.157 0.080
40 O 0.169 0.843 0.920
41 O 0.444 0.573 0.713
42 O 0.089 0.603 0.044
43 O 0.492 0.232 0.931
44 O 0.345 0.562 0.456
45 O 0.089 0.103 0.456
46 O 0.485 0.188 0.749
47 O 0.909 0.428 0.161
48 O 0.991 0.322 0.362
49 O 0.911 0.897 0.544
50 O 0.911 0.397 0.956
51 O 0.655 0.438 0.544
52 O 0.365 0.546 0.951
53 O 0.515 0.312 0.249
54 O 0.091 0.572 0.839
55 O 0.508 0.768 0.069
56 O 0.366 0.551 0.164
57 Zn 0.361 0.518 0.558
58 Zn 0.639 0.482 0.442
59 Zn 0.639 0.982 0.058
60 Zn 0.361 0.018 0.942

space-group type: P2_1/c (14)
crystal system: monoclinic
magnetic moment: 4.978 μB/f.u.
E_form: -12.775 eV/f.u.



Record 4
LiVSiO4 | PBE+U | optimized geometry

abc: 5.126 10.384 6.835
angles: 90.00 88.77 90.00
Positions (direct):
1 V 0.813 0.832 0.990
2 V 0.187 0.168 0.010
3 V 0.313 0.668 0.490
4 V 0.687 0.332 0.510
5 O 0.691 0.658 0.942
6 O 0.873 0.378 0.268
7 O 0.680 0.666 0.551
8 O 0.309 0.342 0.058
9 O 0.627 0.878 0.232
10 O 0.820 0.166 0.949
11 O 0.180 0.834 0.051
12 O 0.748 0.438 0.738
13 O 0.252 0.562 0.262
14 O 0.127 0.622 0.732
15 O 0.752 0.938 0.762
16 O 0.191 0.842 0.442
17 O 0.248 0.062 0.238
18 O 0.373 0.122 0.768
19 O 0.809 0.158 0.558
20 O 0.320 0.334 0.449
21 Si 0.689 0.093 0.761
22 Si 0.811 0.593 0.739
23 Si 0.311 0.907 0.239
24 Si 0.189 0.407 0.261
25 Li 0.193 0.149 0.505
26 Li 0.693 0.351 0.005
27 Li 0.307 0.649 0.995
28 Li 0.807 0.851 0.495

space-group type: P2_1/c (14)
crystal system: monoclinic
magnetic moment: 0.000 μB/f.u.
energy relative to the lowest polymorph listed for this composition: 66 meV/atom
E_form: -19.411 eV/f.u.



- Which of these has the lowest E_form?
  Li2VC2O6